Density functional theory data (GGA+U) for an optimized crystal structure of LiVP3HO10.

Structure (POSCAR):
```
LiVP3HO10
1.0
4.336 4.705 0.000
-4.336 4.705 0.000
0.000 2.605 5.792
O Li P V H
10 1 3 1 1
direct
0.018 0.673 0.021
0.392 0.721 0.649
0.812 0.305 0.141
0.405 0.316 0.647
0.684 0.595 0.353
0.327 0.982 0.979
0.279 0.608 0.351
0.695 0.188 0.859
0.662 0.668 0.941
0.332 0.338 0.059
0.995 0.005 0.500
0.801 0.555 0.100
0.445 0.199 0.900
0.430 0.570 0.500
0.336 0.664 0.000
0.755 0.245 0.000
```

Values from the calculation:
ΔE_f ... -2476 meV/atom
Final energy ... -111.15 eV per cell
Total magnetization ... 2.0 μB/cell
ΔE to the lowest computed polymorph ... 0.052 eV/atom

Density functional theory data (GGA+U) for an optimized crystal structure of LiVP2HO8.

Structure (POSCAR):
```
LiVP2HO8
1.0
7.986 0.000 0.000
0.000 7.740 0.000
0.000 3.606 9.037
H O Li P V
4 32 4 8 4
direct
0.494 0.740 0.241
0.994 0.260 0.759
0.492 0.742 0.741
0.992 0.258 0.259
0.952 0.309 0.345
0.672 0.433 0.892
0.823 0.939 0.896
0.676 0.438 0.395
0.827 0.934 0.390
0.549 0.097 0.897
0.440 0.696 0.156
0.558 0.801 0.342
0.452 0.691 0.655
0.670 0.111 0.654
0.056 0.899 0.610
0.323 0.061 0.104
0.940 0.304 0.844
0.176 0.562 0.605
0.058 0.199 0.658
0.171 0.894 0.850
0.671 0.106 0.150
0.329 0.390 0.847
0.170 0.889 0.346
0.045 0.191 0.157
0.172 0.567 0.108
0.545 0.809 0.843
0.942 0.604 0.889
0.450 0.404 0.603
0.049 0.903 0.103
0.442 0.396 0.111
0.826 0.606 0.649
0.326 0.394 0.351
0.950 0.596 0.397
0.556 0.101 0.390
0.327 0.066 0.610
0.829 0.610 0.153
0.868 0.102 0.028
0.368 0.898 0.972
0.130 0.399 0.477
0.630 0.601 0.523
0.150 0.018 0.181
0.342 0.512 0.185
0.654 0.981 0.316
0.154 0.019 0.684
0.347 0.513 0.682
0.650 0.982 0.819
0.842 0.488 0.815
0.847 0.487 0.318
0.504 0.237 0.503
0.995 0.743 0.001
0.004 0.763 0.497
0.495 0.257 0.999
```

Values from the calculation:
ΔE_f ... -2481 meV/atom
Final energy ... -359.39 eV per cell
Total magnetization ... 4.0 μB/cell
ΔE to the lowest computed polymorph ... 0.004 eV/atom

Question: Which of these has the lowest ΔE to the lowest computed polymorph?
Answer: LiVP2HO8